This record from the Materials Project describes crystalline Fe4NiSe10 at its relaxed geometry. The functional is GGA-PBE.

Properties
- total energy (eV per atom) = -5.2962
- space-group type = No. 10
- M_tot (μB/cell) = 0.03
- energy of formation from the pure elements (kJ/mol of formula units) = -921
- theoretical density (g cm⁻³) = 6.99
- calculated volume (Å³ per cell) = 509.4

a = 3.6180 Å, b = 4.8506 Å, c = 29.0278 Å
α = 89.78°, β = 90.00°, γ = 90.00°
Closest atoms and distances in Å follow each position.
Atoms (fractional coordinates):
Se (0.5000, 0.7069, 0.5732)  1 Fe 2.35, 2 Ni 2.43, 1 Se 2.54
Se (0.0000, 0.2174, 0.7268)  3 Fe 2.37-2.40, 1 Se 2.60
Se (0.5000, 0.2812, 0.0265)  3 Fe 2.39, 1 Se 2.62
Se (0.5000, 0.7188, 0.9735)  3 Fe 2.39, 1 Se 2.62
Se (0.5000, 0.2812, 0.8266)  3 Fe 2.38-2.39, 1 Se 2.61
Se (0.0000, 0.7812, 0.0735)  3 Fe 2.38-2.39, 1 Se 2.62
Se (0.5000, 0.7062, 0.3728)  1 Fe 2.35, 2 Ni 2.43, 1 Se 2.54
Se (0.0000, 0.7826, 0.2732)  3 Fe 2.37-2.40, 1 Se 2.60
Se (0.0000, 0.7814, 0.8737)  3 Fe 2.38-2.39, 1 Se 2.62
Se (0.5000, 0.2806, 0.2260)  3 Fe 2.39, 1 Se 2.61
Se (0.5000, 0.7194, 0.7740)  3 Fe 2.39, 1 Se 2.61
Se (0.5000, 0.2938, 0.6272)  1 Fe 2.35, 2 Ni 2.43, 1 Se 2.54
Se (0.0000, 0.7793, 0.6752)  2 Fe 2.37, 1 Ni 2.43, 1 Se 2.60
Se (0.0000, 0.2192, 0.5251)  2 Fe 2.38, 1 Ni 2.42, 1 Se 2.58
Se (0.0000, 0.2188, 0.9265)  3 Fe 2.38-2.39, 1 Se 2.62
Se (0.5000, 0.2931, 0.4268)  1 Fe 2.35, 2 Ni 2.43, 1 Se 2.54
Se (0.0000, 0.7808, 0.4749)  2 Fe 2.38, 1 Ni 2.42, 1 Se 2.58
Se (0.0000, 0.2186, 0.1263)  3 Fe 2.38-2.39, 1 Se 2.62
Se (0.5000, 0.7188, 0.1734)  3 Fe 2.38-2.39, 1 Se 2.61
Se (0.0000, 0.2207, 0.3248)  2 Fe 2.37, 1 Ni 2.43, 1 Se 2.60
Fe (0.5000, 0.5000, 0.9000)  6 Se 2.38-2.39
Fe (0.0000, 0.0002, 0.8001)  6 Se 2.37-2.39
Fe (0.5000, 0.5000, 0.5000)  6 Se 2.35-2.38
Fe (0.0000, 0.0000, 0.0000)  6 Se 2.38-2.39
Fe (0.5000, 0.5000, 0.1000)  6 Se 2.38-2.39
Fe (0.5000, 0.5018, 0.7003)  6 Se 2.35-2.40
Fe (0.0000, 0.9998, 0.1999)  6 Se 2.37-2.39
Fe (0.5000, 0.4982, 0.2997)  6 Se 2.35-2.40
Ni (0.0000, 0.9998, 0.3999)  6 Se 2.42-2.43
Ni (0.0000, 0.0002, 0.6001)  6 Se 2.42-2.43

This record from the Materials Project describes crystalline LiLa2ReO6 at its relaxed geometry. The functional is GGA-PBE.

Properties
- total energy (eV per atom) = -7.9972
- space-group type = No. 14
- M_tot (μB/cell) = 4.00
- energy of formation from the pure elements (kJ/mol of formula units) = -2912
- theoretical density (g cm⁻³) = 7.37
- calculated volume (Å³ per cell) = 255.5

a = 5.7813 Å, b = 5.5638 Å, c = 9.6493 Å
α = 55.42°, β = 90.00°, γ = 90.00°
Closest atoms and distances in Å follow each position.
Atoms (fractional coordinates):
O (0.1943, 0.3339, 0.4555)  1 Re 2.00, 1 Li 2.15
O (0.5255, 0.8466, 0.2413)  1 Re 1.98, 1 Li 2.12
O (0.7816, 0.2391, 0.9504)  1 Re 1.98, 1 Li 2.17
O (0.2184, 0.7609, 0.0496)  1 Re 1.98, 1 Li 2.17
O (0.0255, 0.1534, 0.2587)  1 Re 1.98, 1 Li 2.12
O (0.9745, 0.8466, 0.7413)  1 Re 1.98, 1 Li 2.12
O (0.2816, 0.7609, 0.5496)  1 Re 1.98, 1 Li 2.17
O (0.8057, 0.6661, 0.5445)  1 Re 2.00, 1 Li 2.15
O (0.4745, 0.1534, 0.7587)  1 Re 1.98, 1 Li 2.12
O (0.7184, 0.2391, 0.4504)  1 Re 1.98, 1 Li 2.17
O (0.6943, 0.6661, 0.0445)  1 Re 2.00, 1 Li 2.15
O (0.3057, 0.3339, 0.9555)  1 Re 2.00, 1 Li 2.15
Re (0.5000, 0.0000, 0.0000)  6 O 1.98-2.00
Re (0.0000, 0.0000, 0.5000)  6 O 1.98-2.00
La (0.9475, 0.7350, 0.2531)  6 O 2.40-2.69
La (0.5525, 0.7350, 0.7531)  6 O 2.40-2.69
La (0.0525, 0.2650, 0.7469)  6 O 2.40-2.69
La (0.4475, 0.2650, 0.2469)  6 O 2.40-2.69
Li (0.0000, 0.5000, 0.0000)  6 O 2.12-2.17
Li (0.5000, 0.5000, 0.5000)  6 O 2.12-2.17

This record from the Materials Project describes crystalline InNi at its relaxed geometry. The functional is GGA-PBE.

Properties
- total energy (eV per atom) = -4.4407
- space-group type = No. 191
- energy of formation from the pure elements (kJ/mol of formula units) = -34
- theoretical density (g cm⁻³) = 8.21
- calculated volume (Å³ per cell) = 105.3

a = 5.2721 Å, b = 5.2721 Å, c = 4.3729 Å
α = 90.00°, β = 90.00°, γ = 120.00°
Closest atoms and distances in Å follow each position.
Atoms (fractional coordinates):
Ni (0.5000, 0.5000, 0.0000)  4 Ni 2.64, 6 In 2.64-2.66
Ni (0.0000, 0.5000, 0.0000)  6 In 2.64-2.66, 4 Ni 2.64
Ni (0.5000, 0.0000, 0.0000)  6 In 2.64-2.66, 4 Ni 2.64
In (0.3333, 0.6667, 0.5000)  6 Ni 2.66
In (0.0000, 0.0000, 0.0000)  6 Ni 2.64
In (0.6667, 0.3333, 0.5000)  6 Ni 2.66

This record from the Materials Project describes crystalline KSrTbBiO6 at its relaxed geometry. The functional is GGA-PBE.

Properties
- total energy (eV per atom) = -6.0719
- space-group type = No. 48
- M_tot (μB/cell) = 4.00
- energy of formation from the pure elements (kJ/mol of formula units) = -2299
- energy above the lowest structure with this stoichiometry (meV/atom) = 0.0
- theoretical density (g cm⁻³) = 6.06
- calculated volume (Å³ per cell) = 646.9

a = 8.6399 Å, b = 8.6111 Å, c = 8.6955 Å
α = 90.00°, β = 90.00°, γ = 90.00°
Closest atoms and distances in Å follow each position.
Atoms (fractional coordinates):
K (0.5000, 0.0000, 0.5000)  4 O 2.80
K (0.0000, 0.5000, 0.0000)  4 O 2.80
K (0.0000, 0.0000, 0.5000)  4 O 2.77
K (0.5000, 0.5000, 0.0000)  4 O 2.77
O (0.0070, 0.7759, 0.2713)  1 Bi 2.12, 1 Tb 2.24
O (0.7746, 0.5073, 0.7068)  1 Bi 2.13, 1 Tb 2.26
O (0.7207, 0.7619, 0.5070)  1 Bi 2.13, 1 Tb 2.25
O (0.2746, 0.0073, 0.7932)  1 Bi 2.13, 1 Tb 2.26
O (0.7746, 0.4927, 0.2932)  1 Bi 2.13, 1 Tb 2.26
O (0.4930, 0.2759, 0.7713)  1 Bi 2.12, 1 Tb 2.24
O (0.2254, 0.5073, 0.2932)  1 Bi 2.13, 1 Tb 2.26
O (0.0070, 0.2241, 0.7287)  1 Bi 2.12, 1 Tb 2.24
O (0.7254, 0.9927, 0.7932)  1 Bi 2.13, 1 Tb 2.26
O (0.4930, 0.7241, 0.2287)  1 Bi 2.12, 1 Tb 2.24
O (0.5070, 0.7241, 0.7713)  1 Bi 2.12, 1 Tb 2.24
O (0.7793, 0.2619, 0.0070)  1 Bi 2.13, 1 Tb 2.25
O (0.2793, 0.2381, 0.5070)  1 Bi 2.13, 1 Tb 2.25
O (0.2254, 0.4927, 0.7068)  1 Bi 2.13, 1 Tb 2.26
O (0.9930, 0.7759, 0.7287)  1 Bi 2.12, 1 Tb 2.24
O (0.7254, 0.0073, 0.2068)  1 Bi 2.13, 1 Tb 2.26
O (0.2207, 0.2619, 0.9930)  1 Bi 2.13, 1 Tb 2.25
O (0.2793, 0.7619, 0.4930)  1 Bi 2.13, 1 Tb 2.25
O (0.2207, 0.7381, 0.0070)  1 Bi 2.13, 1 Tb 2.25
O (0.2746, 0.9927, 0.2068)  1 Bi 2.13, 1 Tb 2.26
O (0.5070, 0.2759, 0.2287)  1 Bi 2.12, 1 Tb 2.24
O (0.9930, 0.2241, 0.2713)  1 Bi 2.12, 1 Tb 2.24
O (0.7793, 0.7381, 0.9930)  1 Bi 2.13, 1 Tb 2.25
O (0.7207, 0.2381, 0.4930)  1 Bi 2.13, 1 Tb 2.25
Sr (0.5000, 0.5000, 0.5000)  12 O 2.95-3.05
Sr (0.0000, 0.5000, 0.5000)  4 O 2.65
Sr (0.0000, 0.0000, 0.0000)  12 O 2.95-3.05
Sr (0.5000, 0.0000, 0.0000)  4 O 2.65
Bi (0.2500, 0.7500, 0.2500)  6 O 2.12-2.13
Bi (0.2500, 0.2500, 0.7500)  6 O 2.12-2.13
Bi (0.7500, 0.2500, 0.2500)  6 O 2.12-2.13
Bi (0.7500, 0.7500, 0.7500)  6 O 2.12-2.13
Tb (0.7500, 0.7500, 0.2500)  6 O 2.24-2.26
Tb (0.2500, 0.7500, 0.7500)  6 O 2.24-2.26
Tb (0.7500, 0.2500, 0.7500)  6 O 2.24-2.26
Tb (0.2500, 0.2500, 0.2500)  6 O 2.24-2.26

This record from the Materials Project describes crystalline Sc at its relaxed geometry. The functional is GGA-PBE.

Properties
- total energy (eV per atom) = -5.6130
- space-group type = No. 221
- M_tot (μB/cell) = 0.95
- energy of formation from the pure elements (kJ/mol of formula units) = 69
- energy above the lowest structure with this stoichiometry (meV/atom) = 719.5
- theoretical density (g cm⁻³) = 2.79
- calculated volume (Å³ per cell) = 26.7

a = 2.9894 Å, b = 2.9894 Å, c = 2.9894 Å
α = 90.00°, β = 90.00°, γ = 90.00°
Closest atoms and distances in Å follow each position.
Atoms (fractional coordinates):
Sc (0.0000, 0.0000, 0.0000)  6 Sc 2.99

This record from the Materials Project describes crystalline CrN2 at its relaxed geometry. The functional is GGA-PBE.

Properties
- total energy (eV per atom) = -8.4926
- space-group type = No. 60
- M_tot (μB/cell) = 0.00
- energy of formation from the pure elements (kJ/mol of formula units) = 12
- theoretical density (g cm⁻³) = 4.49
- calculated volume (Å³ per cell) = 118.3

a = 4.4052 Å, b = 4.8177 Å, c = 5.5764 Å
α = 90.00°, β = 90.00°, γ = 90.00°
Closest atoms and distances in Å follow each position.
Atoms (fractional coordinates):
N (0.7197, 0.0753, 0.6365)  2 Cr 1.77-1.87
N (0.7803, 0.5753, 0.8635)  2 Cr 1.77-1.87
N (0.7197, 0.5753, 0.3635)  2 Cr 1.77-1.87
N (0.7803, 0.0753, 0.1365)  2 Cr 1.77-1.87
N (0.2803, 0.9247, 0.3635)  2 Cr 1.77-1.87
N (0.2197, 0.9247, 0.8635)  2 Cr 1.77-1.87
N (0.2803, 0.4247, 0.6365)  2 Cr 1.77-1.87
N (0.2197, 0.4247, 0.1365)  2 Cr 1.77-1.87
Cr (0.5000, 0.7500, 0.5833)  4 N 1.77-1.87
Cr (0.0000, 0.7500, 0.0833)  4 N 1.77-1.87
Cr (0.0000, 0.2500, 0.9167)  4 N 1.77-1.87
Cr (0.5000, 0.2500, 0.4167)  4 N 1.77-1.87

This record from the Materials Project describes crystalline Rb2LiCoC6N6 at its relaxed geometry. The functional is GGA-PBE.

Properties
- total energy (eV per atom) = -7.4272
- space-group type = No. 14
- M_tot (μB/cell) = 0.00
- energy of formation from the pure elements (kJ/mol of formula units) = -447
- theoretical density (g cm⁻³) = 2.34
- calculated volume (Å³ per cell) = 557.8

a = 7.4918 Å, b = 7.2118 Å, c = 12.5763 Å
α = 55.18°, β = 90.00°, γ = 90.00°
Closest atoms and distances in Å follow each position.
Atoms (fractional coordinates):
N (0.2650, 0.3794, 0.4621)  1 C 1.18
N (0.1653, 0.7231, 0.5437)  1 C 1.18
N (0.9817, 0.7864, 0.2903)  1 C 1.18
N (0.6653, 0.2769, 0.9563)  1 C 1.18
N (0.3347, 0.7231, 0.0437)  1 C 1.18
N (0.4817, 0.2136, 0.2097)  1 C 1.18
N (0.0183, 0.2136, 0.7097)  1 C 1.18
N (0.7650, 0.6206, 0.0379)  1 C 1.18
N (0.7350, 0.6206, 0.5379)  1 C 1.18
N (0.5183, 0.7864, 0.7903)  1 C 1.18
N (0.8347, 0.2769, 0.4563)  1 C 1.18
N (0.2350, 0.3794, 0.9621)  1 C 1.18
C (0.7060, 0.1699, 0.4732)  1 N 1.18
C (0.1434, 0.2340, 0.9768)  1 N 1.18
C (0.8566, 0.7660, 0.0232)  1 N 1.18
C (0.3566, 0.2340, 0.4768)  1 N 1.18
C (0.4898, 0.1295, 0.3217)  1 N 1.18
C (0.5102, 0.8705, 0.6783)  1 N 1.18
C (0.7940, 0.1699, 0.9732)  1 N 1.18
C (0.6434, 0.7660, 0.5232)  1 N 1.18
C (0.0102, 0.1295, 0.8217)  1 N 1.18
C (0.9898, 0.8705, 0.1783)  1 N 1.18
C (0.2940, 0.8301, 0.5268)  1 N 1.18
C (0.2060, 0.8301, 0.0268)  1 N 1.18
Li (0.0000, 0.5000, 0.5000)  6 N 2.24-2.33
Li (0.5000, 0.5000, 0.0000)  6 N 2.24-2.33
Co (0.5000, 0.0000, 0.5000)  6 C 1.87-1.88
Co (0.0000, 0.0000, 0.0000)  6 C 1.87-1.88
Rb (0.9458, 0.7375, 0.7494)  4 N 3.12-3.29, 3 C 3.37-3.46
Rb (0.4458, 0.2625, 0.7506)  4 N 3.12-3.29, 3 C 3.37-3.46
Rb (0.5542, 0.7375, 0.2494)  4 N 3.12-3.29, 3 C 3.37-3.46
Rb (0.0542, 0.2625, 0.2506)  4 N 3.12-3.29, 3 C 3.37-3.46

This record from the Materials Project describes crystalline Mg14AlCu at its relaxed geometry. The functional is GGA-PBE.

Properties
- total energy (eV per atom) = -1.8720
- space-group type = No. 187
- M_tot (μB/cell) = 0.00
- energy of formation from the pure elements (kJ/mol of formula units) = 29
- energy above the lowest structure with this stoichiometry (meV/atom) = 2.8
- theoretical density (g cm⁻³) = 2.10
- calculated volume (Å³ per cell) = 341.1

a = 6.2069 Å, b = 6.2069 Å, c = 10.2225 Å
α = 90.00°, β = 90.00°, γ = 120.00°
Closest atoms and distances in Å follow each position.
Atoms (fractional coordinates):
Mg (0.8333, 0.6667, 0.8753)  12 Mg 3.10-3.12
Mg (0.3295, 0.6590, 0.8723)  10 Mg 3.03-3.17, 1 Cu 3.08, 1 Al 3.12
Mg (0.3295, 0.6590, 0.3777)  10 Mg 3.03-3.17, 1 Cu 3.08, 1 Al 3.12
Mg (0.8410, 0.1705, 0.8723)  10 Mg 3.03-3.17, 1 Cu 3.08, 1 Al 3.12
Mg (0.6671, 0.3343, 0.1250)  10 Mg 3.09-3.16, 2 Al 3.10
Mg (0.6671, 0.8329, 0.1250)  10 Mg 3.09-3.16, 2 Al 3.10
Mg (0.3295, 0.1705, 0.8723)  10 Mg 3.03-3.17, 1 Cu 3.08, 1 Al 3.12
Mg (0.6676, 0.8324, 0.6250)  10 Mg 3.09-3.12, 2 Cu 3.10
Mg (0.3295, 0.1705, 0.3777)  10 Mg 3.03-3.17, 1 Cu 3.08, 1 Al 3.12
Mg (0.6676, 0.3352, 0.6250)  10 Mg 3.09-3.12, 2 Cu 3.10
Mg (0.1657, 0.8329, 0.1250)  10 Mg 3.09-3.16, 2 Al 3.10
Mg (0.8333, 0.6667, 0.3747)  12 Mg 3.10-3.12
Mg (0.8410, 0.1705, 0.3777)  10 Mg 3.03-3.17, 1 Cu 3.08, 1 Al 3.12
Mg (0.1648, 0.8324, 0.6250)  10 Mg 3.09-3.12, 2 Cu 3.10
Cu (0.1667, 0.3333, 0.6250)  12 Mg 3.08-3.10
Al (0.1667, 0.3333, 0.1250)  12 Mg 3.10-3.12